# r²SCAN Li3Al2, relaxed
data_Li3Al2
_chemical_formula_sum 'Li9 Al6'
_space_group_name_H-M_alt 'R -3 m'
_space_group_IT_number 166
_space_group_name_Hall '-R 3 2"'
_cell_length_a 4.4339
_cell_length_b 4.4339
_cell_length_c 14.1191
_cell_angle_alpha 90.00
_cell_angle_beta 90.00
_cell_angle_gamma 120.00
loop_
_atom_site_label
_atom_site_type_symbol
_atom_site_fract_x
_atom_site_fract_y
_atom_site_fract_z
Li1 Li 0.0000 0.0000 0.0000
Li2 Li 0.0000 0.0000 0.4022
Al1 Al 0.0000 0.0000 0.1964
# Final energy, eV/atom: -4.33
# Energy of formation from the pure elements, meV per atom: -206